Record 1
First-principles (GGA-PBE) data for an optimized crystal structure of MgSn5, as listed in the Materials Project.

Output
Calculated total energy (eV for the cell shown): -21.4
Calculated density (kg/m3): 6363
ΔE_f (eV/atom): 0.05

Geometry as POSCAR:
```
MgSn5
1.0
3.320 0.000 0.000
-1.660 2.875 0.000
0.000 0.000 16.889
Mg Sn
1 5
Direct
0.000 0.000 0.000 Mg
0.000 0.000 0.330 Sn
0.000 0.000 0.670 Sn
0.667 0.333 0.156 Sn
0.667 0.333 0.500 Sn
0.667 0.333 0.844 Sn
```

***

Record 2
First-principles (GGA-PBE) data for an optimized crystal structure of Ge7O23, as listed in the Materials Project.

Output
Calculated total energy (eV for the cell shown): -154.3
Calculated density (kg/m3): 3151
ΔE_f (eV/atom): -0.80

Geometry as POSCAR:
```
Ge7O23
1.0
7.730 0.000 0.000
0.000 7.730 0.000
0.000 0.000 7.730
Ge O
7 23
Direct
0.000 0.000 0.500 Ge
0.000 0.500 0.000 Ge
0.144 0.144 0.144 Ge
0.144 0.856 0.856 Ge
0.500 0.000 0.000 Ge
0.856 0.144 0.856 Ge
0.856 0.856 0.144 Ge
0.000 0.500 0.500 O
0.115 0.115 0.885 O
0.115 0.885 0.115 O
0.137 0.137 0.381 O
0.137 0.381 0.137 O
0.137 0.619 0.863 O
0.137 0.863 0.619 O
0.337 0.337 0.663 O
0.337 0.663 0.337 O
0.381 0.137 0.137 O
0.381 0.863 0.863 O
0.500 0.000 0.500 O
0.500 0.500 0.000 O
0.619 0.137 0.863 O
0.619 0.863 0.137 O
0.663 0.337 0.337 O
0.663 0.663 0.663 O
0.863 0.137 0.619 O
0.863 0.381 0.863 O
0.863 0.619 0.137 O
0.863 0.863 0.381 O
0.885 0.115 0.115 O
0.885 0.885 0.885 O
```

***

Record 3
First-principles (GGA-PBE) data for an optimized crystal structure of CrN2, as listed in the Materials Project.

Output
Calculated total energy (eV for the cell shown): -828.6
Calculated density (kg/m3): 1655
ΔE_f (eV/atom): -0.10

Geometry as POSCAR:
```
CrN2
1.0
11.222 -5.336 0.000
11.222 5.336 0.000
0.000 0.000 21.450
Cr N
32 64
Direct
0.009 0.462 0.609 Cr
0.009 0.462 0.891 Cr
0.026 0.821 0.559 Cr
0.026 0.821 0.941 Cr
0.138 0.220 0.172 Cr
0.138 0.220 0.328 Cr
0.179 0.974 0.559 Cr
0.179 0.974 0.941 Cr
0.190 0.501 0.506 Cr
0.190 0.501 0.994 Cr
0.220 0.138 0.672 Cr
0.220 0.138 0.828 Cr
0.462 0.009 0.109 Cr
0.462 0.009 0.391 Cr
0.499 0.810 0.506 Cr
0.499 0.810 0.994 Cr
0.501 0.190 0.006 Cr
0.501 0.190 0.494 Cr
0.538 0.991 0.609 Cr
0.538 0.991 0.891 Cr
0.780 0.862 0.172 Cr
0.780 0.862 0.328 Cr
0.810 0.499 0.006 Cr
0.810 0.499 0.494 Cr
0.821 0.026 0.059 Cr
0.821 0.026 0.441 Cr
0.862 0.780 0.672 Cr
0.862 0.780 0.828 Cr
0.974 0.179 0.059 Cr
0.974 0.179 0.441 Cr
0.991 0.538 0.109 Cr
0.991 0.538 0.391 Cr
0.057 0.177 0.125 N
0.057 0.177 0.375 N
0.077 0.385 0.151 N
0.077 0.385 0.349 N
0.095 0.095 0.000 N
0.095 0.095 0.500 N
0.098 0.902 0.571 N
0.098 0.902 0.929 N
0.102 0.313 0.656 N
0.102 0.313 0.844 N
0.104 0.220 0.250 N
0.112 0.532 0.066 N
0.112 0.532 0.434 N
0.121 0.452 0.558 N
0.121 0.452 0.942 N
0.149 0.655 0.532 N
0.149 0.655 0.968 N
0.177 0.057 0.625 N
0.177 0.057 0.875 N
0.220 0.104 0.750 N
0.313 0.102 0.156 N
0.313 0.102 0.344 N
0.345 0.851 0.532 N
0.345 0.851 0.968 N
0.367 0.367 0.000 N
0.367 0.367 0.500 N
0.385 0.077 0.651 N
0.385 0.077 0.849 N
0.452 0.121 0.058 N
0.452 0.121 0.442 N
0.468 0.888 0.066 N
0.468 0.888 0.434 N
0.532 0.112 0.566 N
0.532 0.112 0.934 N
0.548 0.879 0.558 N
0.548 0.879 0.942 N
0.615 0.923 0.151 N
0.615 0.923 0.349 N
0.633 0.633 0.000 N
0.633 0.633 0.500 N
0.655 0.149 0.032 N
0.655 0.149 0.468 N
0.687 0.898 0.656 N
0.687 0.898 0.844 N
0.780 0.896 0.250 N
0.823 0.943 0.125 N
0.823 0.943 0.375 N
0.851 0.345 0.032 N
0.851 0.345 0.468 N
0.879 0.548 0.058 N
0.879 0.548 0.442 N
0.888 0.468 0.566 N
0.888 0.468 0.934 N
0.896 0.780 0.750 N
0.898 0.687 0.156 N
0.898 0.687 0.344 N
0.902 0.098 0.071 N
0.902 0.098 0.429 N
0.905 0.905 0.000 N
0.905 0.905 0.500 N
0.923 0.615 0.651 N
0.923 0.615 0.849 N
0.943 0.823 0.625 N
0.943 0.823 0.875 N
```

***

Record 4
First-principles (GGA-PBE) data for an optimized crystal structure of Dy3Cu4Sn4, as listed in the Materials Project.

Output
Calculated total energy (eV for the cell shown): -51.9
Calculated density (kg/m3): 8831
ΔE_f (eV/atom): -0.51

Geometry as POSCAR:
```
Dy3Cu4Sn4
1.0
-2.233 3.479 7.361
2.233 -3.479 7.361
2.233 3.479 -7.361
Dy Cu Sn
3 4 4
Direct
0.000 0.000 0.000 Dy
0.369 0.869 0.500 Dy
0.631 0.131 0.500 Dy
0.018 0.329 0.688 Cu
0.359 0.671 0.688 Cu
0.641 0.329 0.312 Cu
0.982 0.671 0.312 Cu
0.216 0.216 0.000 Sn
0.297 0.500 0.797 Sn
0.703 0.500 0.203 Sn
0.784 0.784 0.000 Sn
```

***

Record 5
First-principles (GGA-PBE) data for an optimized crystal structure of Cd4InTe4As, as listed in the Materials Project.

Output
Calculated total energy (eV for the cell shown): -25.5
Calculated density (kg/m3): 6861
ΔE_f (eV/atom): -0.18

Geometry as POSCAR:
```
Cd4InTe4As
1.0
-2.141 2.141 15.176
2.141 -2.141 15.176
2.141 2.141 -15.176
Cd In Te As
4 1 4 1
Direct
0.093 0.093 0.000 Cd
0.299 0.299 0.000 Cd
0.701 0.701 0.000 Cd
0.907 0.907 0.000 Cd
0.500 0.500 0.000 In
0.199 0.199 0.000 Te
0.399 0.399 0.000 Te
0.601 0.601 0.000 Te
0.801 0.801 0.000 Te
0.000 0.000 0.000 As
```

***

Record 6
First-principles (GGA-PBE) data for an optimized crystal structure of Ba2ZrUO6, as listed in the Materials Project.

Output
Calculated total energy (eV for the cell shown): -84.6
Calculated density (kg/m3): 7062
ΔE_f (eV/atom): -3.54

Geometry as POSCAR:
```
Ba2ZrUO6
1.0
0.000 4.350 4.350
4.350 0.000 4.350
4.350 4.350 0.000
Ba Zr U O
2 1 1 6
Direct
0.250 0.250 0.250 Ba
0.750 0.750 0.750 Ba
0.000 0.000 0.000 Zr
0.500 0.500 0.500 U
0.246 0.246 0.754 O
0.246 0.754 0.246 O
0.246 0.754 0.754 O
0.754 0.246 0.246 O
0.754 0.246 0.754 O
0.754 0.754 0.246 O
```

***

Record 7
First-principles (GGA-PBE) data for an optimized crystal structure of Na2LaTa3Si2P4O24, as listed in the Materials Project.

Output
Calculated total energy (eV for the cell shown): -867.5
Calculated density (kg/m3): 3994
ΔE_f (eV/atom): -3.09

Geometry as POSCAR:
```
Na2LaTa3Si2P4O24
1.0
8.975 0.000 0.000
4.480 7.782 0.000
0.029 0.028 23.070
Na La Ta Si P O
6 3 9 6 12 72
Direct
0.000 0.000 0.000 Na
0.003 0.999 0.490 Na
0.334 0.336 0.168 Na
0.339 0.335 0.665 Na
0.658 0.677 0.329 Na
0.670 0.675 0.834 Na
0.007 0.999 0.341 La
0.337 0.333 0.526 La
0.999 0.999 0.854 La
0.005 0.002 0.145 Ta
0.334 0.334 0.025 Ta
0.335 0.332 0.312 Ta
0.337 0.332 0.811 Ta
0.666 0.669 0.179 Ta
0.667 0.666 0.686 Ta
0.668 0.663 0.477 Ta
0.668 0.668 0.980 Ta
0.995 0.005 0.646 Ta
0.309 0.998 0.247 Si
0.375 0.674 0.080 Si
0.676 0.954 0.080 Si
0.687 0.372 0.584 Si
0.703 0.000 0.749 Si
0.953 0.375 0.080 Si
0.002 0.695 0.245 P
0.005 0.298 0.747 P
0.032 0.350 0.415 P
0.046 0.604 0.919 P
0.297 0.701 0.747 P
0.347 0.623 0.415 P
0.352 0.046 0.919 P
0.375 0.935 0.585 P
0.604 0.354 0.919 P
0.624 0.031 0.415 P
0.696 0.306 0.245 P
0.937 0.690 0.585 P
0.029 0.800 0.196 O
0.032 0.780 0.921 O
0.037 0.170 0.696 O
0.111 0.530 0.590 O
0.130 0.327 0.471 O
0.138 0.361 0.361 O
0.140 0.504 0.862 O
0.148 0.347 0.072 O
0.151 0.501 0.972 O
0.166 0.029 0.195 O
0.173 0.308 0.756 O
0.173 0.798 0.696 O
0.174 0.520 0.254 O
0.186 0.842 0.092 O
0.192 0.029 0.920 O
0.200 0.942 0.590 O
0.201 0.806 0.411 O
0.245 0.804 0.803 O
0.262 0.945 0.307 O
0.304 0.524 0.756 O
0.315 0.180 0.257 O
0.331 0.543 0.470 O
0.349 0.151 0.972 O
0.350 0.505 0.073 O
0.353 0.113 0.589 O
0.357 0.143 0.862 O
0.360 0.509 0.361 O
0.468 0.704 0.022 O
0.470 0.836 0.528 O
0.482 0.833 0.638 O
0.486 0.655 0.734 O
0.501 0.640 0.134 O
0.502 0.360 0.862 O
0.502 0.844 0.231 O
0.504 0.348 0.972 O
0.506 0.146 0.072 O
0.507 0.139 0.361 O
0.516 0.181 0.758 O
0.517 0.317 0.253 O
0.521 0.867 0.920 O
0.523 0.625 0.419 O
0.524 0.348 0.592 O
0.546 0.131 0.470 O
0.615 0.522 0.920 O
0.619 0.858 0.419 O
0.641 0.861 0.134 O
0.656 0.850 0.735 O
0.665 0.486 0.230 O
0.691 0.485 0.638 O
0.695 0.474 0.524 O
0.704 0.831 0.022 O
0.781 0.195 0.920 O
0.792 0.257 0.302 O
0.797 0.173 0.196 O
0.807 0.993 0.408 O
0.810 0.032 0.695 O
0.811 0.949 0.807 O
0.831 0.469 0.023 O
0.831 0.694 0.638 O
0.837 0.701 0.528 O
0.844 0.973 0.092 O
0.858 0.529 0.420 O
0.858 0.656 0.229 O
0.860 0.485 0.734 O
0.864 0.499 0.134 O
0.866 0.617 0.920 O
0.867 0.184 0.590 O
0.950 0.793 0.302 O
0.955 0.854 0.590 O
0.957 0.241 0.802 O
0.971 0.187 0.091 O
0.989 0.208 0.408 O
```

***

Record 8
First-principles (GGA-PBE) data for an optimized crystal structure of PmRh3, as listed in the Materials Project.

Output
Calculated total energy (eV for the cell shown): -56.5
Calculated density (kg/m3): 10651
ΔE_f (eV/atom): -0.35

Geometry as POSCAR:
```
PmRh3
1.0
5.932 0.000 0.000
-2.966 5.137 0.000
0.000 0.000 4.642
Pm Rh
2 6
Direct
0.333 0.667 0.250 Pm
0.667 0.333 0.750 Pm
0.154 0.309 0.750 Rh
0.154 0.846 0.750 Rh
0.309 0.154 0.250 Rh
0.691 0.846 0.750 Rh
0.846 0.154 0.250 Rh
0.846 0.691 0.250 Rh
```

***

Record 9
First-principles (GGA-PBE) data for an optimized crystal structure of Li2SnPb, as listed in the Materials Project.

Output
Calculated total energy (eV for the cell shown): -50.9
Calculated density (kg/m3): 6465
ΔE_f (eV/atom): -0.30

Geometry as POSCAR:
```
Li2SnPb
1.0
7.041 0.000 0.000
0.000 7.041 0.000
0.000 0.000 7.041
Li Sn Pb
8 4 4
Direct
0.250 0.250 0.250 Li
0.250 0.250 0.750 Li
0.250 0.750 0.250 Li
0.250 0.750 0.750 Li
0.750 0.250 0.250 Li
0.750 0.250 0.750 Li
0.750 0.750 0.250 Li
0.750 0.750 0.750 Li
0.000 0.000 0.000 Sn
0.000 0.500 0.500 Sn
0.500 0.000 0.500 Sn
0.500 0.500 0.000 Sn
0.000 0.000 0.500 Pb
0.000 0.500 0.000 Pb
0.500 0.000 0.000 Pb
0.500 0.500 0.500 Pb
```

***

Record 10
First-principles (GGA-PBE) data for an optimized crystal structure of Li2BSeO4, as listed in the Materials Project.

Output
Calculated total energy (eV for the cell shown): -192.0
Calculated density (kg/m3): 2732
ΔE_f (eV/atom): -2.12

Geometry as POSCAR:
```
Li2BSeO4
1.0
7.441 0.000 0.000
0.000 5.056 0.000
-0.275 0.000 10.833
Li B Se O
8 4 4 16
Direct
0.106 0.156 0.283 Li
0.106 0.344 0.783 Li
0.181 0.169 0.552 Li
0.181 0.331 0.052 Li
0.819 0.669 0.948 Li
0.819 0.831 0.448 Li
0.894 0.656 0.217 Li
0.894 0.844 0.717 Li
0.156 0.659 0.418 B
0.156 0.841 0.918 B
0.844 0.159 0.082 B
0.844 0.341 0.582 B
0.448 0.629 0.597 Se
0.448 0.871 0.097 Se
0.552 0.129 0.903 Se
0.552 0.371 0.403 Se
0.039 0.683 0.856 O
0.039 0.817 0.356 O
0.189 0.102 0.908 O
0.189 0.398 0.408 O
0.268 0.698 0.013 O
0.268 0.802 0.513 O
0.350 0.127 0.169 O
0.350 0.373 0.669 O
0.650 0.627 0.331 O
0.650 0.873 0.831 O
0.732 0.198 0.487 O
0.732 0.302 0.987 O
0.811 0.602 0.592 O
0.811 0.898 0.092 O
0.961 0.183 0.644 O
0.961 0.317 0.144 O
```

***

Record 11
First-principles (GGA-PBE) data for an optimized crystal structure of Rb3TaF6, as listed in the Materials Project.

Output
Calculated total energy (eV for the cell shown): -52.5
Calculated density (kg/m3): 4216
ΔE_f (eV/atom): -2.90

Geometry as POSCAR:
```
Rb3TaF6
1.0
0.000 4.771 4.771
4.771 0.000 4.771
4.771 4.771 0.000
Rb Ta F
3 1 6
Direct
0.000 0.000 0.000 Rb
0.250 0.250 0.250 Rb
0.750 0.750 0.750 Rb
0.500 0.500 0.500 Ta
0.282 0.282 0.718 F
0.282 0.718 0.282 F
0.282 0.718 0.718 F
0.718 0.282 0.282 F
0.718 0.282 0.718 F
0.718 0.718 0.282 F
```

***

Record 12
First-principles (GGA-PBE) data for an optimized crystal structure of MgAl2O4, as listed in the Materials Project.

Output
Calculated total energy (eV for the cell shown): -98.8
Calculated density (kg/m3): 3482
Piezoelectric modulus e_max (C/m2): 0.510
ΔE_f (eV/atom): -3.32

Geometry as POSCAR:
```
MgAl2O4
1.0
2.874 1.659 4.741
-2.874 1.659 4.741
0.000 -3.319 4.741
Mg Al O
2 4 8
Direct
0.000 0.000 0.000 Mg
0.377 0.377 0.377 Mg
0.002 0.002 0.488 Al
0.002 0.488 0.002 Al
0.488 0.002 0.002 Al
0.618 0.618 0.618 Al
0.228 0.748 0.748 O
0.239 0.239 0.239 O
0.246 0.246 0.787 O
0.246 0.787 0.246 O
0.748 0.228 0.748 O
0.748 0.748 0.228 O
0.753 0.753 0.753 O
0.787 0.246 0.246 O
```